{
  "formula": "SiO2",
  "functional": "meta-GGA r2SCAN",
  "state": "relaxed",
  "ef_ev_per_atom": -3.020,
  "rho_g_cm3": 1.894,
  "magnetic_moment_mub_per_fu": 0.00,
  "final_energy_ry_per_atom": -0.72956,
  "cell": [[-0.083, 3.068, -4.238], [3.670, -10.977, -8.018], [-16.567, -3.778, -2.411]],
  "species": ["Si", "Si", "Si", "Si", "Si", "Si", "Si", "Si", "Si", "Si", "Si", "Si", "Si", "Si", "Si", "Si", "Si", "Si", "Si", "Si", "Si", "Si", "Si", "Si", "O", "O", "O", "O", "O", "O", "O", "O", "O", "O", "O", "O", "O", "O", "O", "O", "O", "O", "O", "O", "O", "O", "O", "O", "O", "O", "O", "O", "O", "O", "O", "O", "O", "O", "O", "O", "O", "O", "O", "O", "O", "O", "O", "O", "O", "O", "O", "O"],
  "frac_coords": [[0.000, 0.258, 0.054], [0.000, 0.742, 0.946], [0.000, 0.258, 0.446], [0.000, 0.742, 0.554], [0.500, 0.758, 0.054], [0.500, 0.242, 0.946], [0.500, 0.758, 0.446], [0.500, 0.242, 0.554], [0.000, 0.071, 0.158], [0.000, 0.929, 0.842], [0.000, 0.071, 0.342], [0.000, 0.929, 0.658], [0.500, 0.571, 0.158], [0.500, 0.429, 0.842], [0.500, 0.571, 0.342], [0.500, 0.429, 0.658], [0.500, 0.971, 0.091], [0.500, 0.029, 0.909], [0.500, 0.971, 0.409], [0.500, 0.029, 0.591], [0.000, 0.471, 0.091], [0.000, 0.529, 0.909], [0.000, 0.471, 0.409], [0.000, 0.529, 0.591], [0.000, 0.174, 0.117], [0.000, 0.826, 0.883], [0.000, 0.174, 0.383], [0.000, 0.826, 0.617], [0.500, 0.674, 0.117], [0.500, 0.326, 0.883], [0.500, 0.674, 0.383], [0.500, 0.326, 0.617], [0.250, 0.250, 0.000], [0.250, 0.750, 0.000], [0.750, 0.250, 0.500], [0.750, 0.750, 0.500], [0.750, 0.750, 0.000], [0.750, 0.250, 0.000], [0.250, 0.750, 0.500], [0.250, 0.250, 0.500], [0.000, 0.357, 0.100], [0.000, 0.643, 0.900], [0.000, 0.357, 0.400], [0.000, 0.643, 0.600], [0.500, 0.857, 0.100], [0.500, 0.143, 0.900], [0.500, 0.857, 0.400], [0.500, 0.143, 0.600], [0.750, 0.013, 0.132], [0.750, 0.987, 0.868], [0.250, 0.013, 0.368], [0.250, 0.987, 0.632], [0.250, 0.987, 0.868], [0.250, 0.013, 0.132], [0.750, 0.987, 0.632], [0.750, 0.013, 0.368], [0.250, 0.513, 0.132], [0.250, 0.487, 0.868], [0.750, 0.513, 0.368], [0.750, 0.487, 0.632], [0.750, 0.487, 0.868], [0.750, 0.513, 0.132], [0.250, 0.487, 0.632], [0.250, 0.513, 0.368], [0.000, 0.086, 0.250], [0.000, 0.914, 0.750], [0.500, 0.586, 0.250], [0.500, 0.414, 0.750], [0.500, 0.000, 0.000], [0.500, 0.000, 0.500], [0.000, 0.500, 0.000], [0.000, 0.500, 0.500]]
}

***

{
  "formula": "DyN",
  "functional": "meta-GGA r2SCAN",
  "state": "relaxed",
  "ef_ev_per_atom": -2.021,
  "spacegroup": "Fm-3m (225)",
  "rho_g_cm3": 10.032,
  "magnetic_moment_mub_per_fu": 0.00,
  "final_energy_ry_per_atom": -1.65930,
  "cell": [[0.000, 2.445, 2.445], [2.445, 0.000, 2.445], [2.445, 2.445, 0.000]],
  "species": ["Dy", "N"],
  "frac_coords": [[0.000, 0.000, 0.000], [0.500, 0.500, 0.500]]
}

***

{
  "formula": "Ba3LaRu2O9",
  "functional": "meta-GGA r2SCAN",
  "state": "relaxed",
  "ef_ev_per_atom": -2.421,
  "spacegroup": "P6_3/mmc (194)",
  "rho_g_cm3": 6.466,
  "magnetic_moment_mub_per_fu": 2.95,
  "final_energy_ry_per_atom": -1.22576,
  "cell": [[5.979, 0.000, 0.000], [-2.989, 5.178, 0.000], [0.000, 0.000, 14.882]],
  "species": ["Ba", "Ba", "Ba", "Ba", "Ba", "Ba", "La", "La", "Ru", "Ru", "Ru", "Ru", "O", "O", "O", "O", "O", "O", "O", "O", "O", "O", "O", "O", "O", "O", "O", "O", "O", "O"],
  "frac_coords": [[0.000, 0.000, 0.250], [0.000, 0.000, 0.750], [0.333, 0.667, 0.105], [0.333, 0.667, 0.395], [0.667, 0.333, 0.605], [0.667, 0.333, 0.895], [0.000, 0.000, 0.000], [0.000, 0.000, 0.500], [0.333, 0.667, 0.668], [0.333, 0.667, 0.832], [0.667, 0.333, 0.168], [0.667, 0.333, 0.332], [0.017, 0.509, 0.750], [0.180, 0.359, 0.595], [0.180, 0.359, 0.905], [0.180, 0.820, 0.595], [0.180, 0.820, 0.905], [0.359, 0.180, 0.095], [0.359, 0.180, 0.405], [0.491, 0.509, 0.750], [0.491, 0.983, 0.750], [0.509, 0.017, 0.250], [0.509, 0.491, 0.250], [0.641, 0.820, 0.595], [0.641, 0.820, 0.905], [0.820, 0.180, 0.095], [0.820, 0.180, 0.405], [0.820, 0.641, 0.095], [0.820, 0.641, 0.405], [0.983, 0.491, 0.250]]
}

***

{
  "formula": "Y3Si2Rh2",
  "functional": "meta-GGA r2SCAN",
  "state": "relaxed",
  "ef_ev_per_atom": -1.017,
  "spacegroup": "Pbcm (57)",
  "rho_g_cm3": 6.175,
  "magnetic_moment_mub_per_fu": 0.64,
  "final_energy_ry_per_atom": -1.40570,
  "cell": [[5.642, 0.000, 0.000], [0.000, 7.753, 0.000], [0.000, 0.000, 13.000]],
  "species": ["Y", "Y", "Y", "Y", "Y", "Y", "Y", "Y", "Y", "Y", "Y", "Y", "Si", "Si", "Si", "Si", "Si", "Si", "Si", "Si", "Rh", "Rh", "Rh", "Rh", "Rh", "Rh", "Rh", "Rh"],
  "frac_coords": [[0.124, 0.247, 0.250], [0.124, 0.253, 0.750], [0.362, 0.605, 0.104], [0.362, 0.605, 0.396], [0.362, 0.895, 0.604], [0.362, 0.895, 0.896], [0.638, 0.105, 0.104], [0.638, 0.105, 0.396], [0.638, 0.395, 0.604], [0.638, 0.395, 0.896], [0.876, 0.747, 0.250], [0.876, 0.753, 0.750], [0.105, 0.250, 0.000], [0.105, 0.250, 0.500], [0.358, 0.605, 0.750], [0.358, 0.895, 0.250], [0.642, 0.105, 0.750], [0.642, 0.395, 0.250], [0.895, 0.750, 0.000], [0.895, 0.750, 0.500], [0.143, 0.528, 0.588], [0.143, 0.528, 0.912], [0.143, 0.972, 0.088], [0.143, 0.972, 0.412], [0.857, 0.028, 0.588], [0.857, 0.028, 0.912], [0.857, 0.472, 0.088], [0.857, 0.472, 0.412]]
}

***

{
  "formula": "GeSe2O6",
  "functional": "meta-GGA r2SCAN",
  "state": "relaxed",
  "ef_ev_per_atom": -1.139,
  "spacegroup": "P2_1/c (14)",
  "rho_g_cm3": 4.279,
  "relative_energy_mev_per_atom": 0,
  "magnetic_moment_mub_per_fu": 0.00,
  "final_energy_ry_per_atom": -0.72340,
  "cell": [[5.077, 0.000, 0.000], [0.000, 6.819, 0.000], [-4.944, 0.000, 7.322]],
  "species": ["Ge", "Ge", "Se", "Se", "Se", "Se", "O", "O", "O", "O", "O", "O", "O", "O", "O", "O", "O", "O"],
  "frac_coords": [[0.000, 0.000, 0.000], [0.000, 0.500, 0.500], [0.315, 0.174, 0.799], [0.315, 0.326, 0.299], [0.685, 0.674, 0.701], [0.685, 0.826, 0.201], [0.196, 0.085, 0.244], [0.196, 0.415, 0.744], [0.284, 0.717, 0.583], [0.284, 0.783, 0.083], [0.287, 0.162, 0.986], [0.287, 0.338, 0.486], [0.713, 0.662, 0.514], [0.713, 0.838, 0.014], [0.716, 0.217, 0.917], [0.716, 0.283, 0.417], [0.804, 0.585, 0.256], [0.804, 0.915, 0.756]]
}

***

{
  "formula": "CrHgO4",
  "functional": "meta-GGA r2SCAN",
  "state": "relaxed",
  "ef_ev_per_atom": -1.293,
  "spacegroup": "Cmcm (63)",
  "rho_g_cm3": 5.823,
  "relative_energy_mev_per_atom": 2,
  "magnetic_moment_mub_per_fu": 0.00,
  "final_energy_ry_per_atom": -1.17709,
  "cell": [[2.878, -4.385, 0.000], [2.878, 4.385, 0.000], [0.000, 0.000, 7.153]],
  "species": ["Cr", "Cr", "Hg", "Hg", "O", "O", "O", "O", "O", "O", "O", "O"],
  "frac_coords": [[0.136, 0.864, 0.750], [0.864, 0.136, 0.250], [0.500, 0.500, 0.000], [0.500, 0.500, 0.500], [0.214, 0.266, 0.250], [0.241, 0.759, 0.563], [0.241, 0.759, 0.937], [0.266, 0.214, 0.750], [0.734, 0.786, 0.250], [0.759, 0.241, 0.063], [0.759, 0.241, 0.437], [0.786, 0.734, 0.750]]
}

***

{
  "formula": "ThI2",
  "functional": "meta-GGA r2SCAN",
  "state": "relaxed",
  "ef_ev_per_atom": -1.224,
  "spacegroup": "P6_3/mmc (194)",
  "rho_g_cm3": 7.124,
  "magnetic_moment_mub_per_fu": 0.05,
  "final_energy_ry_per_atom": -3.09345,
  "cell": [[3.984, 0.000, 0.000], [-1.992, 3.450, 0.000], [0.000, 0.000, 32.960]],
  "species": ["Th", "Th", "Th", "Th", "I", "I", "I", "I", "I", "I", "I", "I"],
  "frac_coords": [[0.000, 0.000, 0.000], [0.000, 0.000, 0.500], [0.333, 0.667, 0.250], [0.667, 0.333, 0.750], [0.000, 0.000, 0.182], [0.000, 0.000, 0.318], [0.000, 0.000, 0.682], [0.000, 0.000, 0.818], [0.333, 0.667, 0.069], [0.333, 0.667, 0.431], [0.667, 0.333, 0.569], [0.667, 0.333, 0.931]]
}

***

{
  "formula": "Li2AlGa",
  "functional": "meta-GGA r2SCAN",
  "state": "relaxed",
  "ef_ev_per_atom": -0.311,
  "spacegroup": "F-43m (216)",
  "rho_g_cm3": 3.053,
  "magnetic_moment_mub_per_fu": 0.00,
  "final_energy_ry_per_atom": -0.44454,
  "cell": [[0.000, 3.110, 3.110], [3.110, 0.000, 3.110], [3.110, 3.110, 0.000]],
  "species": ["Li", "Li", "Al", "Ga"],
  "frac_coords": [[0.000, 0.000, 0.000], [0.250, 0.250, 0.250], [0.500, 0.500, 0.500], [0.750, 0.750, 0.750]]
}

***

{
  "formula": "MgPd5",
  "functional": "meta-GGA r2SCAN",
  "state": "relaxed",
  "ef_ev_per_atom": -0.307,
  "spacegroup": "R32 (155)",
  "rho_g_cm3": 10.152,
  "magnetic_moment_mub_per_fu": 0.00,
  "final_energy_ry_per_atom": -1.47995,
  "cell": [[2.403, 1.387, 4.550], [-2.403, 1.387, 4.550], [0.000, -2.775, 4.550]],
  "species": ["Mg", "Pd", "Pd", "Pd", "Pd", "Pd"],
  "frac_coords": [[0.000, 0.000, 0.000], [0.168, 0.500, 0.832], [0.332, 0.332, 0.332], [0.500, 0.832, 0.168], [0.668, 0.668, 0.668], [0.832, 0.168, 0.500]]
}

***

{
  "formula": "NaAcTl2",
  "functional": "meta-GGA r2SCAN",
  "state": "relaxed",
  "ef_ev_per_atom": -0.371,
  "spacegroup": "Fm-3m (225)",
  "rho_g_cm3": 8.740,
  "magnetic_moment_mub_per_fu": 0.00,
  "final_energy_ry_per_atom": -3.30824,
  "cell": [[0.000, 3.970, 3.970], [3.970, 0.000, 3.970], [3.970, 3.970, 0.000]],
  "species": ["Na", "Ac", "Tl", "Tl"],
  "frac_coords": [[0.000, 0.000, 0.000], [0.500, 0.500, 0.500], [0.250, 0.250, 0.250], [0.750, 0.750, 0.750]]
}

***

{
  "formula": "Nb9AsO25",
  "functional": "meta-GGA r2SCAN",
  "state": "relaxed",
  "ef_ev_per_atom": -2.607,
  "spacegroup": "P4/n (85)",
  "rho_g_cm3": 4.477,
  "magnetic_moment_mub_per_fu": 0.00,
  "final_energy_ry_per_atom": -1.00351,
  "cell": [[15.865, 0.000, 0.000], [0.000, 15.865, 0.000], [0.000, 0.000, 3.864]],
  "species": ["Nb", "Nb", "Nb", "Nb", "Nb", "Nb", "Nb", "Nb", "Nb", "Nb", "Nb", "Nb", "Nb", "Nb", "Nb", "Nb", "Nb", "Nb", "As", "As", "O", "O", "O", "O", "O", "O", "O", "O", "O", "O", "O", "O", "O", "O", "O", "O", "O", "O", "O", "O", "O", "O", "O", "O", "O", "O", "O", "O", "O", "O", "O", "O", "O", "O", "O", "O", "O", "O", "O", "O", "O", "O", "O", "O", "O", "O", "O", "O", "O", "O"],
  "frac_coords": [[0.032, 0.357, 0.248], [0.077, 0.865, 0.742], [0.135, 0.577, 0.258], [0.143, 0.032, 0.248], [0.250, 0.250, 0.290], [0.357, 0.468, 0.248], [0.365, 0.923, 0.258], [0.423, 0.635, 0.742], [0.468, 0.143, 0.248], [0.532, 0.857, 0.752], [0.577, 0.365, 0.258], [0.635, 0.077, 0.742], [0.643, 0.532, 0.752], [0.750, 0.750, 0.710], [0.857, 0.968, 0.752], [0.865, 0.423, 0.742], [0.923, 0.135, 0.258], [0.968, 0.643, 0.752], [0.250, 0.750, 0.000], [0.750, 0.250, 0.000], [0.002, 0.638, 0.251], [0.031, 0.761, 0.748], [0.032, 0.075, 0.243], [0.075, 0.468, 0.243], [0.093, 0.897, 0.252], [0.103, 0.593, 0.748], [0.133, 0.301, 0.253], [0.138, 0.998, 0.749], [0.176, 0.700, 0.237], [0.199, 0.133, 0.253], [0.200, 0.824, 0.763], [0.239, 0.531, 0.252], [0.250, 0.250, 0.762], [0.261, 0.969, 0.252], [0.300, 0.676, 0.763], [0.301, 0.367, 0.253], [0.324, 0.800, 0.237], [0.362, 0.502, 0.749], [0.367, 0.199, 0.253], [0.397, 0.907, 0.748], [0.407, 0.603, 0.252], [0.425, 0.032, 0.243], [0.468, 0.425, 0.243], [0.469, 0.739, 0.748], [0.498, 0.862, 0.251], [0.502, 0.138, 0.749], [0.531, 0.261, 0.252], [0.532, 0.575, 0.757], [0.575, 0.968, 0.757], [0.593, 0.397, 0.748], [0.603, 0.093, 0.252], [0.633, 0.801, 0.747], [0.638, 0.498, 0.251], [0.676, 0.200, 0.763], [0.699, 0.633, 0.747], [0.700, 0.324, 0.237], [0.739, 0.031, 0.748], [0.750, 0.750, 0.238], [0.761, 0.469, 0.748], [0.800, 0.176, 0.237], [0.801, 0.867, 0.747], [0.824, 0.300, 0.763], [0.862, 0.002, 0.251], [0.867, 0.699, 0.747], [0.897, 0.407, 0.252], [0.907, 0.103, 0.748], [0.925, 0.532, 0.757], [0.968, 0.925, 0.757], [0.969, 0.239, 0.252], [0.998, 0.362, 0.749]]
}

***

{
  "formula": "La3Cu3Bi4",
  "functional": "meta-GGA r2SCAN",
  "state": "relaxed",
  "ef_ev_per_atom": -0.754,
  "spacegroup": "I-43d (220)",
  "rho_g_cm3": 9.352,
  "magnetic_moment_mub_per_fu": 0.00,
  "final_energy_ry_per_atom": -2.67040,
  "cell": [[-5.041, 5.041, 5.041], [5.041, -5.041, 5.041], [5.041, 5.041, -5.041]],
  "species": ["La", "La", "La", "La", "La", "La", "Cu", "Cu", "Cu", "Cu", "Cu", "Cu", "Bi", "Bi", "Bi", "Bi", "Bi", "Bi", "Bi", "Bi"],
  "frac_coords": [[0.125, 0.875, 0.250], [0.250, 0.125, 0.875], [0.375, 0.625, 0.750], [0.625, 0.750, 0.375], [0.750, 0.375, 0.625], [0.875, 0.250, 0.125], [0.125, 0.750, 0.875], [0.250, 0.625, 0.375], [0.375, 0.250, 0.625], [0.625, 0.375, 0.250], [0.750, 0.875, 0.125], [0.875, 0.125, 0.750], [0.000, 0.160, 0.500], [0.000, 0.660, 0.500], [0.160, 0.500, 0.000], [0.340, 0.340, 0.340], [0.500, 0.000, 0.160], [0.500, 0.000, 0.660], [0.660, 0.500, 0.000], [0.840, 0.840, 0.840]]
}

***

{
  "formula": "Zr3Si",
  "functional": "meta-GGA r2SCAN",
  "state": "relaxed",
  "ef_ev_per_atom": -0.604,
  "spacegroup": "P4_2/n (86)",
  "rho_g_cm3": 6.058,
  "magnetic_moment_mub_per_fu": 0.00,
  "final_energy_ry_per_atom": -1.45966,
  "cell": [[11.025, 0.000, 0.000], [0.000, 11.025, 0.000], [0.000, 0.000, 5.444]],
  "species": ["Zr", "Zr", "Zr", "Zr", "Zr", "Zr", "Zr", "Zr", "Zr", "Zr", "Zr", "Zr", "Zr", "Zr", "Zr", "Zr", "Zr", "Zr", "Zr", "Zr", "Zr", "Zr", "Zr", "Zr", "Si", "Si", "Si", "Si", "Si", "Si", "Si", "Si"],
  "frac_coords": [[0.034, 0.571, 0.240], [0.071, 0.966, 0.740], [0.112, 0.222, 0.028], [0.142, 0.668, 0.716], [0.168, 0.858, 0.216], [0.222, 0.388, 0.472], [0.278, 0.112, 0.472], [0.332, 0.642, 0.216], [0.358, 0.832, 0.716], [0.388, 0.278, 0.028], [0.429, 0.534, 0.740], [0.466, 0.929, 0.240], [0.534, 0.071, 0.760], [0.571, 0.466, 0.260], [0.612, 0.722, 0.972], [0.642, 0.168, 0.284], [0.668, 0.358, 0.784], [0.722, 0.888, 0.528], [0.778, 0.612, 0.528], [0.832, 0.142, 0.784], [0.858, 0.332, 0.284], [0.888, 0.778, 0.972], [0.929, 0.034, 0.260], [0.966, 0.429, 0.760], [0.045, 0.208, 0.538], [0.208, 0.455, 0.962], [0.292, 0.045, 0.962], [0.455, 0.292, 0.538], [0.545, 0.708, 0.462], [0.708, 0.955, 0.038], [0.792, 0.545, 0.038], [0.955, 0.792, 0.462]]
}

***

{
  "formula": "DyF3",
  "functional": "meta-GGA r2SCAN",
  "state": "relaxed",
  "ef_ev_per_atom": -4.500,
  "spacegroup": "Pnma (62)",
  "rho_g_cm3": 7.690,
  "magnetic_moment_mub_per_fu": 0.00,
  "final_energy_ry_per_atom": -1.09069,
  "cell": [[6.370, 0.000, 0.000], [0.000, 6.843, 0.000], [0.000, 0.000, 4.349]],
  "species": ["Dy", "Dy", "Dy", "Dy", "F", "F", "F", "F", "F", "F", "F", "F", "F", "F", "F", "F"],
  "frac_coords": [[0.131, 0.250, 0.063], [0.369, 0.750, 0.563], [0.631, 0.250, 0.437], [0.869, 0.750, 0.937], [0.021, 0.750, 0.413], [0.165, 0.563, 0.880], [0.165, 0.937, 0.880], [0.335, 0.063, 0.380], [0.335, 0.437, 0.380], [0.479, 0.250, 0.913], [0.521, 0.750, 0.087], [0.665, 0.563, 0.620], [0.665, 0.937, 0.620], [0.835, 0.063, 0.120], [0.835, 0.437, 0.120], [0.979, 0.250, 0.587]]
}